CaHI | GGA-PBE | optimized geometry

a b c (Å): 4.029 4.029 9.421
angles (deg): 90.00 90.00 90.00
Element x y z (fractional)
Ca 0.250 0.250 0.128
Ca 0.750 0.750 0.872
H 0.250 0.750 0.000
H 0.750 0.250 0.000
I 0.250 0.250 0.701
I 0.750 0.750 0.299



CaH24I2N8 | GGA-PBE | optimized geometry

a b c (Å): 13.024 8.182 17.192
angles (deg): 90.00 90.00 90.00
Element x y z (fractional)
Ca 0.236 0.250 0.139
Ca 0.264 0.750 0.639
Ca 0.736 0.250 0.361
Ca 0.764 0.750 0.861
H 0.033 0.064 0.116
H 0.033 0.436 0.116
H 0.078 0.250 0.001
H 0.078 0.511 0.585
H 0.078 0.989 0.585
H 0.085 0.150 0.284
H 0.085 0.350 0.284
H 0.095 0.550 0.179
H 0.095 0.950 0.179
H 0.113 0.023 0.716
H 0.113 0.477 0.716
H 0.118 0.606 0.507
H 0.118 0.894 0.507
H 0.122 0.563 0.086
H 0.122 0.937 0.086
H 0.158 0.593 0.786
H 0.158 0.907 0.786
H 0.177 0.150 0.966
H 0.177 0.350 0.966
H 0.180 0.250 0.322
H 0.183 0.047 0.541
H 0.183 0.453 0.541
H 0.230 0.046 0.747
H 0.230 0.454 0.747
H 0.270 0.546 0.247
H 0.270 0.954 0.247
H 0.317 0.547 0.041
H 0.317 0.953 0.041
H 0.320 0.750 0.822
H 0.323 0.650 0.466
H 0.323 0.850 0.466
H 0.342 0.093 0.286
H 0.342 0.407 0.286
H 0.378 0.063 0.586
H 0.378 0.437 0.586
H 0.382 0.106 0.007
H 0.382 0.394 0.007
H 0.387 0.523 0.216
H 0.387 0.977 0.216
H 0.405 0.050 0.679
H 0.405 0.450 0.679
H 0.415 0.650 0.784
H 0.415 0.850 0.784
H 0.422 0.011 0.085
H 0.422 0.489 0.085
H 0.422 0.750 0.501
H 0.467 0.564 0.616
H 0.467 0.936 0.616
H 0.533 0.064 0.384
H 0.533 0.436 0.384
H 0.578 0.250 0.499
H 0.578 0.511 0.915
H 0.578 0.989 0.915
H 0.585 0.150 0.216
H 0.585 0.350 0.216
H 0.595 0.550 0.321
H 0.595 0.950 0.321
H 0.613 0.023 0.784
H 0.613 0.477 0.784
H 0.618 0.606 0.993
H 0.618 0.894 0.993
H 0.622 0.563 0.414
H 0.622 0.937 0.414
H 0.658 0.593 0.714
H 0.658 0.907 0.714
H 0.677 0.150 0.534
H 0.677 0.350 0.534
H 0.680 0.250 0.178
H 0.683 0.047 0.959
H 0.683 0.453 0.959
H 0.730 0.046 0.753
H 0.730 0.454 0.753
H 0.770 0.546 0.253
H 0.770 0.954 0.253
H 0.817 0.547 0.459
H 0.817 0.953 0.459
H 0.820 0.750 0.678
H 0.823 0.650 0.034
H 0.823 0.850 0.034
H 0.842 0.093 0.214
H 0.842 0.407 0.214
H 0.878 0.063 0.914
H 0.878 0.437 0.914
H 0.882 0.106 0.493
H 0.882 0.394 0.493
H 0.887 0.523 0.284
H 0.887 0.977 0.284
H 0.905 0.050 0.821
H 0.905 0.450 0.821
H 0.915 0.650 0.716
H 0.915 0.850 0.716
H 0.922 0.011 0.415
H 0.922 0.489 0.415
H 0.922 0.750 0.999
H 0.967 0.564 0.884
H 0.967 0.936 0.884
I 0.076 0.750 0.330
I 0.154 0.750 0.943
I 0.346 0.250 0.443
I 0.424 0.250 0.830
I 0.576 0.750 0.170
I 0.654 0.750 0.557
I 0.846 0.250 0.057
I 0.924 0.250 0.670
N 0.104 0.018 0.130
N 0.104 0.482 0.130
N 0.131 0.250 0.276
N 0.143 0.554 0.557
N 0.143 0.946 0.557
N 0.157 0.250 0.998
N 0.177 0.541 0.733
N 0.177 0.959 0.733
N 0.323 0.041 0.233
N 0.323 0.459 0.233
N 0.343 0.750 0.498
N 0.357 0.054 0.057
N 0.357 0.446 0.057
N 0.369 0.750 0.776
N 0.396 0.518 0.630
N 0.396 0.982 0.630
N 0.604 0.018 0.370
N 0.604 0.482 0.370
N 0.631 0.250 0.224
N 0.643 0.554 0.943
N 0.643 0.946 0.943
N 0.657 0.250 0.502
N 0.677 0.541 0.767
N 0.677 0.959 0.767
N 0.823 0.041 0.267
N 0.823 0.459 0.267
N 0.843 0.750 0.002
N 0.857 0.054 0.443
N 0.857 0.446 0.443
N 0.869 0.750 0.724
N 0.896 0.518 0.870
N 0.896 0.982 0.870

Output
**Total moment**: 0.20 μB per cell



no.,DFT formation energy (eV per formula unit)
1,-3.72
2,-20.22